[1]
ZrO2F5 after structural relaxation, computed with PBE.

Calculated values
Symmetry ... P2/m (10)
Energy of formation from the pure elements ... -20.637 eV per formula unit

a b c (Å): 5.8224 7.1565 5.9049
angles (deg): 90.00 108.01 90.00
Positions (direct):
Zr  0.1927  0.0000  0.3056
Zr  0.8073  0.0000  0.6944
O  0.0932  0.5000  0.4803
O  0.5000  0.4175  0.0000
O  0.5000  0.5825  0.0000
O  0.9068  0.5000  0.5197
F  0.0000  0.1638  0.5000
F  0.0000  0.8362  0.5000
F  0.1709  0.0000  0.9346
F  0.2583  0.2796  0.2476
F  0.2583  0.7204  0.2476
F  0.4296  0.0000  0.6655
F  0.5704  0.0000  0.3345
F  0.7417  0.2796  0.7524
F  0.7417  0.7204  0.7524
F  0.8291  0.0000  0.0654

[2]
OsF6 after structural relaxation, computed with PBE.

Calculated values
Symmetry ... Pnma (62)
Energy of formation from the pure elements ... -14.509 eV per formula unit

a b c (Å): 9.7799 8.9032 5.1608
angles (deg): 90.00 90.00 90.00
Positions (direct):
Os  0.1270  0.2500  0.0908
Os  0.3730  0.7500  0.5908
Os  0.6270  0.2500  0.4092
Os  0.8730  0.7500  0.9092
F  0.0132  0.2500  0.7995
F  0.0182  0.1016  0.2433
F  0.0182  0.3984  0.2433
F  0.2357  0.1015  0.9390
F  0.2357  0.3985  0.9390
F  0.2406  0.2500  0.3826
F  0.2594  0.7500  0.8826
F  0.2643  0.6015  0.4390
F  0.2643  0.8985  0.4390
F  0.4818  0.6016  0.7433
F  0.4818  0.8984  0.7433
F  0.4868  0.7500  0.2995
F  0.5132  0.2500  0.7005
F  0.5182  0.1016  0.2567
F  0.5182  0.3984  0.2567
F  0.7357  0.1015  0.5610
F  0.7357  0.3985  0.5610
F  0.7406  0.2500  0.1174
F  0.7594  0.7500  0.6174
F  0.7643  0.6015  0.0610
F  0.7643  0.8985  0.0610
F  0.9818  0.6016  0.7567
F  0.9818  0.8984  0.7567
F  0.9868  0.7500  0.2005

[3]
OsF5 after structural relaxation, computed with PBE.

Calculated values
Symmetry ... P2_1/c (14)
Energy of formation from the pure elements ... -12.253 eV per formula unit

a b c (Å): 5.6976 10.3025 12.8787
angles (deg): 90.00 100.22 90.00
Positions (direct):
Os  0.0085  0.2478  0.0008
Os  0.0085  0.2522  0.5008
Os  0.2982  0.5053  0.1993
Os  0.2982  0.9947  0.6993
Os  0.7018  0.0053  0.3007
Os  0.7018  0.4947  0.8007
Os  0.9915  0.7478  0.4992
Os  0.9915  0.7522  0.9992
F  0.0192  0.5714  0.2404
F  0.0192  0.9286  0.7404
F  0.0882  0.6691  0.6297
F  0.0882  0.8309  0.1297
F  0.0995  0.1547  0.6415
F  0.0995  0.3453  0.1415
F  0.1852  0.5900  0.0546
F  0.1852  0.9100  0.5546
F  0.1872  0.1063  0.0582
F  0.1872  0.3937  0.5582
F  0.2648  0.6877  0.4503
F  0.2648  0.8123  0.9503
F  0.2749  0.1743  0.4570
F  0.2749  0.3257  0.9570
F  0.3891  0.0807  0.8267
F  0.3891  0.4193  0.3267
F  0.4431  0.5654  0.8549
F  0.4431  0.9346  0.3549
F  0.4673  0.6551  0.2441
F  0.4673  0.8449  0.7441
F  0.5327  0.1551  0.2559
F  0.5327  0.3449  0.7559
F  0.5569  0.0654  0.6451
F  0.5569  0.4346  0.1451
F  0.6109  0.5807  0.6733
F  0.6109  0.9193  0.1733
F  0.7251  0.6743  0.0430
F  0.7251  0.8257  0.5430
F  0.7352  0.1877  0.0497
F  0.7352  0.3123  0.5497
F  0.8128  0.6063  0.4418
F  0.8128  0.8937  0.9418
F  0.8148  0.0900  0.4454
F  0.8148  0.4100  0.9454
F  0.9005  0.6547  0.8585
F  0.9005  0.8453  0.3585
F  0.9118  0.1691  0.8703
F  0.9118  0.3309  0.3703
F  0.9808  0.0714  0.2596
F  0.9808  0.4286  0.7596

[4]
PF5 after structural relaxation, computed with PBE.

Calculated values
Symmetry ... P6_3/mmc (194)
Energy of formation from the pure elements ... -17.517 eV per formula unit

a b c (Å): 5.7553 5.7553 6.3782
angles (deg): 90.00 90.00 120.00
Positions (direct):
P  0.3333  0.6667  0.2500
P  0.6667  0.3333  0.7500
F  0.1768  0.3537  0.2500
F  0.1768  0.8232  0.2500
F  0.3333  0.6667  0.5026
F  0.3333  0.6667  0.9974
F  0.3537  0.1768  0.7500
F  0.6463  0.8232  0.2500
F  0.6667  0.3333  0.0026
F  0.6667  0.3333  0.4974
F  0.8232  0.1768  0.7500
F  0.8232  0.6463  0.7500

[5]
P6Pb3Xe11F58 after structural relaxation, computed with PBE.

Calculated values
Symmetry ... C2/m (12)
Energy of formation from the pure elements ... -157.462 eV per formula unit

a b c (Å): 8.8790 8.8790 19.0682
angles (deg): 100.77 100.77 83.12
Positions (direct):
P  0.1447  0.1447  0.3059
P  0.2978  0.2978  0.6970
P  0.3290  0.3290  0.0614
P  0.6710  0.6710  0.9386
P  0.7022  0.7022  0.3030
P  0.8553  0.8553  0.6941
Pb  0.1267  0.1267  0.8598
Pb  0.5000  0.5000  0.5000
Pb  0.8733  0.8733  0.1402
Xe  0.0000  0.0000  0.5000
Xe  0.0000  0.5000  0.5000
Xe  0.1394  0.6528  0.8988
Xe  0.2090  0.6398  0.2995
Xe  0.3472  0.8606  0.1012
Xe  0.3602  0.7910  0.7005
Xe  0.5000  0.0000  0.5000
Xe  0.6398  0.2090  0.2995
Xe  0.6528  0.1394  0.8988
Xe  0.7910  0.3602  0.7005
Xe  0.8606  0.3472  0.1012
F  0.0057  0.2829  0.3055
F  0.0316  0.0316  0.3264
F  0.0812  0.0812  0.2180
F  0.1083  0.8459  0.0760
F  0.1214  0.4169  0.8762
F  0.1308  0.7372  0.2069
F  0.1400  0.3351  0.6405
F  0.1541  0.8917  0.9240
F  0.1759  0.8241  0.5000
F  0.1875  0.4649  0.0597
F  0.1974  0.1974  0.7361
F  0.2043  0.2043  0.3924
F  0.2131  0.2131  0.9967
F  0.2375  0.4970  0.5315
F  0.2544  0.2544  0.2828
F  0.2551  0.4522  0.7531
F  0.2624  0.2624  0.1225
F  0.2628  0.8692  0.7931
F  0.2829  0.0057  0.3055
F  0.2846  0.5418  0.3930
F  0.3351  0.1400  0.6405
F  0.3891  0.3891  0.9967
F  0.3953  0.3953  0.6593
F  0.4169  0.1214  0.8762
F  0.4380  0.4380  0.1230
F  0.4522  0.2551  0.7531
F  0.4582  0.7154  0.6070
F  0.4649  0.1875  0.0597
F  0.4970  0.2375  0.5315
F  0.5030  0.7625  0.4685
F  0.5351  0.8125  0.9403
F  0.5418  0.2846  0.3930
F  0.5478  0.7449  0.2469
F  0.5620  0.5620  0.8770
F  0.5831  0.8786  0.1238
F  0.6047  0.6047  0.3407
F  0.6109  0.6109  0.0033
F  0.6649  0.8600  0.3595
F  0.7154  0.4582  0.6070
F  0.7171  0.9943  0.6945
F  0.7372  0.1308  0.2069
F  0.7376  0.7376  0.8775
F  0.7449  0.5478  0.2469
F  0.7456  0.7456  0.7172
F  0.7625  0.5030  0.4685
F  0.7869  0.7869  0.0033
F  0.7957  0.7957  0.6076
F  0.8026  0.8026  0.2639
F  0.8125  0.5351  0.9403
F  0.8241  0.1759  0.5000
F  0.8459  0.1083  0.0760
F  0.8600  0.6649  0.3595
F  0.8692  0.2628  0.7931
F  0.8786  0.5831  0.1238
F  0.8917  0.1541  0.9240
F  0.9188  0.9188  0.7820
F  0.9684  0.9684  0.6736
F  0.9943  0.7171  0.6945

[6]
P4PtF12 after structural relaxation, computed with PBE.

Calculated values
Symmetry ... I-43m (217)
Maximum piezoelectric response ... 0.04 C/m2
Energy of formation from the pure elements ... -44.412 eV per formula unit

a b c (Å): 7.3053 7.3053 7.3053
angles (deg): 109.47 109.47 109.47
Positions (direct):
P  0.0000  0.0000  0.3089
P  0.0000  0.3089  0.0000
P  0.3089  0.0000  0.0000
P  0.6911  0.6911  0.6911
Pt  0.0000  0.0000  0.0000
F  0.0000  0.2001  0.4820
F  0.0000  0.4820  0.2001
F  0.2001  0.0000  0.4820
F  0.2001  0.4820  0.0000
F  0.2819  0.7999  0.7999
F  0.4820  0.0000  0.2001
F  0.4820  0.2001  0.0000
F  0.5180  0.5180  0.7181
F  0.5180  0.7181  0.5180
F  0.7181  0.5180  0.5180
F  0.7999  0.2819  0.7999
F  0.7999  0.7999  0.2819

[7]
PbF2 after structural relaxation, computed with PBE.

Calculated values
Symmetry ... Aea2 (41)
Energy of formation from the pure elements ... -8.032 eV per formula unit

a b c (Å): 6.0241 4.2521 4.2521
angles (deg): 89.82 90.00 90.00
Positions (direct):
Pb  0.0000  0.0000  0.0000
Pb  0.5000  0.5000  0.5000
F  0.2352  0.9812  0.4961
F  0.2648  0.4812  0.9961
F  0.7352  0.9961  0.4812
F  0.7648  0.4961  0.9812

[8]
PbF2 after structural relaxation, computed with PBE.

Calculated values
Symmetry ... Fm-3m (225)
Energy of formation from the pure elements ... -8.041 eV per formula unit

a b c (Å): 4.2407 4.2407 4.2407
angles (deg): 60.00 60.00 60.00
Positions (direct):
Pb  0.0000  0.0000  0.0000
F  0.2500  0.2500  0.2500
F  0.7500  0.7500  0.7500

[9]
PbF2 after structural relaxation, computed with PBE.

Calculated values
Symmetry ... Pnma (62)
Energy of formation from the pure elements ... -7.973 eV per formula unit

a b c (Å): 6.5659 3.9464 7.8079
angles (deg): 90.00 90.00 90.00
Positions (direct):
Pb  0.2428  0.2500  0.0982
Pb  0.2572  0.7500  0.5982
Pb  0.7428  0.2500  0.4018
Pb  0.7572  0.7500  0.9018
F  0.0172  0.2500  0.8520
F  0.1414  0.2500  0.4291
F  0.3586  0.7500  0.9291
F  0.4828  0.7500  0.3520
F  0.5172  0.2500  0.6480
F  0.6414  0.2500  0.0709
F  0.8586  0.7500  0.5709
F  0.9828  0.7500  0.1480

[10]
RbPbF3 after structural relaxation, computed with PBE.

Calculated values
Symmetry ... P1 (1)
Energy of formation from the pure elements ... -13.814 eV per formula unit

a b c (Å): 4.7417 4.7646 20.0007
angles (deg): 89.18 88.48 89.92
Positions (direct):
Rb  0.0000  0.0000  0.0000
Rb  0.9999  0.1270  0.5038
Rb  0.4105  0.4853  0.1448
Rb  0.4127  0.6120  0.6493
Pb  0.5237  0.6245  0.4000
Pb  0.5245  0.5121  0.8958
Pb  0.8840  0.9870  0.2486
Pb  0.8908  0.0993  0.7536
F  0.0293  0.6351  0.4212
F  0.0302  0.5036  0.9177
F  0.3774  0.9772  0.2271
F  0.3864  0.1083  0.7318
F  0.5211  0.1242  0.4189
F  0.5235  0.0091  0.9149
F  0.5299  0.6142  0.5120
F  0.5314  0.5052  0.0081
F  0.8752  0.9964  0.1365
F  0.8868  0.1057  0.6411
F  0.8885  0.4869  0.2295
F  0.8901  0.6022  0.7344

[11]
RbPbF3 after structural relaxation, computed with PBE.

Calculated values
Symmetry ... Pm-3m (221)
Energy of formation from the pure elements ... -13.722 eV per formula unit

a b c (Å): 4.8617 4.8617 4.8617
angles (deg): 90.00 90.00 90.00
Positions (direct):
Rb  0.0000  0.0000  0.0000
Pb  0.5000  0.5000  0.5000
F  0.0000  0.5000  0.5000
F  0.5000  0.0000  0.5000
F  0.5000  0.5000  0.0000

[12]
RbPbF3 after structural relaxation, computed with PBE.

Calculated values
Symmetry ... Cc (9)
Energy of formation from the pure elements ... -13.883 eV per formula unit

a b c (Å): 6.7207 6.7207 6.6165
angles (deg): 118.61 118.61 61.60
Positions (direct):
Rb  0.2481  0.7519  0.5000
Rb  0.7519  0.2481  0.0000
Pb  0.4800  0.9889  0.2553
Pb  0.9889  0.4800  0.7553
F  0.1525  0.8302  0.0441
F  0.1832  0.3372  0.0974
F  0.3372  0.1832  0.5974
F  0.6652  0.6802  0.9096
F  0.6802  0.6652  0.4096
F  0.8302  0.1525  0.5441

[13]
RbPbF3 after structural relaxation, computed with PBE.

Calculated values
Symmetry ... Ima2 (46)
Energy of formation from the pure elements ... -13.284 eV per formula unit

a b c (Å): 6.8404 6.8404 6.8404
angles (deg): 108.40 106.71 113.38
Positions (direct):
Rb  0.0158  0.2500  0.2658
Rb  0.9842  0.7500  0.7342
Pb  0.4777  0.4777  0.0000
Pb  0.4777  0.9777  0.5000
F  0.2112  0.1193  0.5919
F  0.3494  0.7725  0.0769
F  0.5274  0.6193  0.4081
F  0.6956  0.2725  0.9231
F  0.7711  0.2711  0.5000
F  0.7711  0.7711  0.0000

[14]
RbPbF3 after structural relaxation, computed with PBE.

Calculated values
Symmetry ... R3c (161)
Maximum piezoelectric response ... 0.82 C/m2
Energy of formation from the pure elements ... -13.893 eV per formula unit

a b c (Å): 6.7095 6.7095 6.7095
angles (deg): 61.10 61.10 61.10
Positions (direct):
Rb  0.0000  0.0000  0.0000
Rb  0.5000  0.5000  0.5000
Pb  0.2361  0.2361  0.2361
Pb  0.7361  0.7361  0.7361
F  0.0800  0.9070  0.4416
F  0.4070  0.5800  0.9416
F  0.4416  0.0800  0.9070
F  0.5800  0.9416  0.4070
F  0.9070  0.4416  0.0800
F  0.9416  0.4070  0.5800

[15]
RbPbF3 after structural relaxation, computed with PBE.

Calculated values
Symmetry ... P-1 (2)
Energy of formation from the pure elements ... -13.616 eV per formula unit

a b c (Å): 4.6851 4.9480 17.8362
angles (deg): 89.01 84.79 89.91
Positions (direct):
Rb  0.1775  0.3270  0.1840
Rb  0.3171  0.8092  0.3212
Rb  0.6829  0.1908  0.6788
Rb  0.8225  0.6730  0.8159
Pb  0.2489  0.7086  0.5670
Pb  0.2562  0.1780  0.9279
Pb  0.7438  0.8220  0.0721
Pb  0.7511  0.2914  0.4330
F  0.2080  0.6889  0.6904
F  0.2425  0.1964  0.5818
F  0.2431  0.8436  0.1040
F  0.2609  0.6664  0.9146
F  0.2628  0.3050  0.4014
F  0.2818  0.1801  0.8038
F  0.7182  0.8199  0.1962
F  0.7372  0.6950  0.5986
F  0.7391  0.3336  0.0854
F  0.7569  0.1564  0.8960
F  0.7575  0.8036  0.4182
F  0.7920  0.3111  0.3096